Record 1
Here is crystalline Ca4As2O at its relaxed geometry from the Materials Project database. Energies are from meta-GGA r2SCAN.

Structure (POSCAR):
```
Ca4As2O
1.0
4.3757 0.0000 -1.2330
-0.3474 4.3619 -1.2330
-0.0096 -0.0104 8.3470
Ca As O
4 2 1
Direct
0.0000 0.5000 0.0000 Ca
0.3286 0.3286 0.6572 Ca
0.6714 0.6714 0.3428 Ca
0.5000 0.0000 0.0000 Ca
0.1369 0.1369 0.2737 As
0.8631 0.8631 0.7263 As
0.5000 0.5000 0.0000 O
```


Record 2
Here is crystalline Mg3InAg4 at its relaxed geometry from the Materials Project database. Energies are from meta-GGA r2SCAN.

Structure (POSCAR):
```
Mg3InAg4
1.0
-7.2463 3.4459 -1.4964
-7.9396 -1.1966 -1.4671
-7.6555 1.1596 2.5828
Ag Mg In
4 3 1
Direct
0.1264 0.1264 0.1264 Ag
0.3769 0.3769 0.3769 Ag
0.8736 0.8736 0.8736 Ag
0.6231 0.6231 0.6231 Ag
0.5000 0.5000 0.5000 Mg
0.2491 0.2491 0.2491 Mg
0.7509 0.7509 0.7509 Mg
0.0000 0.0000 0.0000 In
```


Record 3
Here is crystalline In3Pd5 at its relaxed geometry from the Materials Project database. Energies are from meta-GGA r2SCAN.

Structure (POSCAR):
```
In3Pd5
1.0
-3.7571 -1.8710 0.4649
1.3891 -1.4697 5.3112
-4.3243 9.6264 3.7948
Pd In
10 6
Direct
0.0000 0.5000 0.0000 Pd
0.0000 0.5640 0.7439 Pd
0.5000 0.7977 0.8906 Pd
0.0000 0.9360 0.2439 Pd
0.0000 0.0640 0.7561 Pd
0.5000 0.2023 0.1094 Pd
0.5000 0.2977 0.6094 Pd
0.5000 0.7023 0.3906 Pd
0.0000 0.4360 0.2561 Pd
0.0000 0.0000 0.5000 Pd
0.0000 0.0000 0.0000 In
0.0000 0.5000 0.5000 In
0.5000 0.1806 0.3570 In
0.5000 0.6806 0.1430 In
0.5000 0.8194 0.6430 In
0.5000 0.3194 0.8570 In
```


Record 4
Here is crystalline Cd2Ge7O16 at its relaxed geometry from the Materials Project database. Energies are from meta-GGA r2SCAN.

Structure (POSCAR):
```
Cd2Ge7O16
1.0
11.3113 0.0000 0.0000
0.0000 11.3113 0.0000
0.0000 0.0000 4.6561
O Cd Ge
32 4 14
Direct
0.9991 0.3817 0.7482 O
0.4991 0.1183 0.7482 O
0.7676 0.8265 0.2297 O
0.5652 0.3612 0.6665 O
0.2193 0.5296 0.7732 O
0.3265 0.2676 0.7703 O
0.2807 0.0296 0.7732 O
0.7324 0.3265 0.2297 O
0.6183 0.9991 0.2518 O
0.5009 0.8817 0.7482 O
0.5296 0.7807 0.2268 O
0.9704 0.2807 0.2268 O
0.3612 0.4348 0.3335 O
0.0296 0.7193 0.2268 O
0.8265 0.2324 0.7703 O
0.7193 0.9704 0.7732 O
0.4704 0.2193 0.2268 O
0.0652 0.1388 0.6665 O
0.7807 0.4704 0.7732 O
0.2676 0.6735 0.2297 O
0.4348 0.6388 0.6665 O
0.0009 0.6183 0.7482 O
0.8612 0.0652 0.3335 O
0.1735 0.7676 0.7703 O
0.2324 0.1735 0.2297 O
0.3817 0.0009 0.2518 O
0.1183 0.5009 0.2518 O
0.6735 0.7324 0.7703 O
0.1388 0.9348 0.3335 O
0.8817 0.4991 0.2518 O
0.9348 0.8612 0.6665 O
0.6388 0.5652 0.3335 O
0.8362 0.6638 0.0000 Cd
0.1638 0.3362 0.0000 Cd
0.6638 0.1638 0.0000 Cd
0.3362 0.8362 0.0000 Cd
0.3142 0.5688 0.4899 Ge
0.5688 0.6858 0.5101 Ge
0.4312 0.3142 0.5101 Ge
0.8649 0.3649 0.0000 Ge
0.5000 0.0000 0.5000 Ge
0.6858 0.4312 0.4899 Ge
0.0688 0.8142 0.5101 Ge
0.0000 0.5000 0.5000 Ge
0.9312 0.1858 0.5101 Ge
0.1858 0.0688 0.4899 Ge
0.3649 0.1351 0.0000 Ge
0.1351 0.6351 0.0000 Ge
0.8142 0.9312 0.4899 Ge
0.6351 0.8649 0.0000 Ge
```


Record 5
Here is crystalline GdMn2O5 at its relaxed geometry from the Materials Project database. Energies are from meta-GGA r2SCAN.

Structure (POSCAR):
```
GdMn2O5
1.0
-4.8862 -1.4306 -2.5580
2.6319 -6.7231 -1.2675
-3.1476 -2.6446 7.4915
O Mn Gd
20 8 4
Direct
0.7255 0.0000 0.0000 O
0.2469 0.3972 0.2062 O
0.0000 0.6613 0.0541 O
0.5000 0.3466 0.9354 O
0.2469 0.8972 0.2938 O
0.7531 0.8972 0.2938 O
0.7531 0.6028 0.7938 O
0.7255 0.5000 0.5000 O
0.2469 0.1028 0.7062 O
0.5000 0.8466 0.5646 O
0.5000 0.6534 0.0646 O
0.2745 0.5000 0.5000 O
0.2469 0.6028 0.7938 O
0.0000 0.8387 0.5541 O
0.7531 0.1028 0.7062 O
0.2745 0.0000 0.0000 O
0.0000 0.1613 0.4459 O
0.5000 0.1534 0.4354 O
0.0000 0.3387 0.9459 O
0.7531 0.3972 0.2062 O
0.7446 0.0000 0.5000 Mn
0.2554 0.0000 0.5000 Mn
0.7446 0.5000 0.0000 Mn
0.5000 0.9112 0.1499 Mn
0.5000 0.4112 0.3501 Mn
0.2554 0.5000 0.0000 Mn
0.5000 0.5888 0.6499 Mn
0.5000 0.0888 0.8501 Mn
0.0000 0.1387 0.1720 Gd
0.0000 0.8613 0.8280 Gd
0.0000 0.6387 0.3280 Gd
0.0000 0.3613 0.6720 Gd
```


Record 6
Here is crystalline Sm2Al at its relaxed geometry from the Materials Project database. Energies are from meta-GGA r2SCAN.

Structure (POSCAR):
```
Sm2Al
1.0
5.1968 0.0000 0.0000
0.0000 6.6638 0.0000
0.0000 0.0000 9.6969
Sm Al
8 4
Direct
0.2500 0.6929 0.5764 Sm
0.7500 0.3071 0.4236 Sm
0.2500 0.1929 0.9236 Sm
0.2500 0.0255 0.2947 Sm
0.7500 0.9745 0.7053 Sm
0.2500 0.5255 0.2053 Sm
0.7500 0.4745 0.7947 Sm
0.7500 0.8071 0.0764 Sm
0.2500 0.7113 0.8976 Al
0.7500 0.7887 0.3976 Al
0.7500 0.2887 0.1024 Al
0.2500 0.2113 0.6024 Al
```


Record 7
Here is crystalline La2Ti2O7 at its relaxed geometry from the Materials Project database. Energies are from meta-GGA r2SCAN.

Structure (POSCAR):
```
La2Ti2O7
1.0
-11.7981 -3.3929 -4.1142
11.1428 0.4249 6.5796
-2.2879 3.5341 3.6465
O La Ti
14 4 4
Direct
0.7804 0.2196 0.4185 O
0.8831 0.1169 0.5506 O
0.2196 0.7804 0.9185 O
0.1169 0.8831 0.0506 O
0.0921 0.9079 0.5596 O
0.4507 0.5493 0.7686 O
0.0110 0.9890 0.9762 O
0.9079 0.0921 0.0596 O
0.9890 0.0110 0.4762 O
0.5493 0.4507 0.2686 O
0.6534 0.3466 0.7432 O
0.3466 0.6534 0.2432 O
0.2024 0.7976 0.4364 O
0.7976 0.2024 0.9364 O
0.2976 0.7024 0.6622 La
0.5528 0.4472 0.7445 La
0.7024 0.2976 0.1622 La
0.4472 0.5528 0.2445 La
0.8373 0.1627 0.2035 Ti
0.9397 0.0603 0.7410 Ti
0.0603 0.9397 0.2410 Ti
0.1627 0.8373 0.7035 Ti
```


Record 8
Here is crystalline BaCdSnS4 at its relaxed geometry from the Materials Project database. Energies are from meta-GGA r2SCAN.

Structure (POSCAR):
```
BaCdSnS4
1.0
-10.5858 0.2782 11.3991
-8.9731 9.0196 2.2153
-11.1361 -6.2661 0.2795
S Cd Ba Sn
32 8 8 8
Direct
0.0322 0.7165 0.5256 S
0.9540 0.9640 0.3030 S
0.7016 0.0511 0.7148 S
0.5325 0.7148 0.0511 S
0.7237 0.0290 0.2121 S
0.5713 0.1801 0.0182 S
0.9558 0.9612 0.8041 S
0.2756 0.8065 0.4636 S
0.9470 0.4710 0.2960 S
0.4526 0.4662 0.3047 S
0.7790 0.3030 0.9640 S
0.2318 0.0195 0.6787 S
0.0352 0.2121 0.0290 S
0.7864 0.7957 0.9744 S
0.2210 0.5263 0.2148 S
0.5335 0.2178 0.5243 S
0.4543 0.4636 0.8065 S
0.7838 0.7974 0.4734 S
0.4459 0.9710 0.2942 S
0.7244 0.5243 0.2178 S
0.1989 0.5484 0.7175 S
0.2860 0.2960 0.4710 S
0.0699 0.6787 0.0195 S
0.7766 0.3047 0.4662 S
0.5352 0.7175 0.5484 S
0.0379 0.2148 0.5263 S
0.2305 0.0182 0.1801 S
0.2790 0.8041 0.9612 S
0.9453 0.4734 0.7974 S
0.7257 0.5256 0.7165 S
0.4435 0.9744 0.7957 S
0.2888 0.2942 0.9710 S
0.4194 0.3311 0.2288 Cd
0.0206 0.2288 0.3311 Cd
0.0212 0.2294 0.8306 Cd
0.5148 0.7367 0.7615 Cd
0.5133 0.7352 0.2630 Cd
0.9189 0.8306 0.2294 Cd
0.4885 0.2630 0.7352 Cd
0.9870 0.7615 0.7367 Cd
0.2496 0.7459 0.2479 Ba
0.7510 0.2490 0.2490 Ba
0.5048 0.9952 0.9952 Ba
0.7566 0.2479 0.7459 Ba
0.5041 0.0004 0.4934 Ba
0.0010 0.4990 0.4990 Ba
0.2548 0.7452 0.7452 Ba
0.0021 0.4934 0.0004 Ba
0.2382 0.0125 0.4860 Sn
0.7342 0.5156 0.9025 Sn
0.3475 0.4022 0.5158 Sn
0.2633 0.4860 0.0125 Sn
0.2375 0.0118 0.9867 Sn
0.7344 0.5158 0.4022 Sn
0.8478 0.9025 0.5156 Sn
0.7640 0.9867 0.0118 Sn
```


Record 9
Here is crystalline MgAl2Ge2 at its relaxed geometry from the Materials Project database. Energies are from meta-GGA r2SCAN.

Structure (POSCAR):
```
MgAl2Ge2
1.0
2.0468 -3.5451 0.0000
2.0468 3.5451 0.0000
0.0000 0.0000 6.7541
Al Ge Mg
2 2 1
Direct
0.6667 0.3333 0.3676 Al
0.3333 0.6667 0.6324 Al
0.3333 0.6667 0.2430 Ge
0.6667 0.3333 0.7570 Ge
0.0000 0.0000 0.0000 Mg
```


Record 10
Here is crystalline Tb2Ga9Ru3 at its relaxed geometry from the Materials Project database. Energies are from meta-GGA r2SCAN.

Structure (POSCAR):
```
Tb2Ga9Ru3
1.0
3.7638 -6.3696 0.0000
3.7638 6.3696 0.0000
0.0000 0.0000 9.6791
Ga Ru Tb
18 6 4
Direct
0.3386 0.0117 0.4240 Ga
0.1343 0.1343 0.2500 Ga
0.8657 0.8657 0.7500 Ga
0.6609 0.6609 0.4387 Ga
0.6614 0.9883 0.5760 Ga
0.9883 0.6614 0.5760 Ga
0.3391 0.3391 0.5613 Ga
0.6609 0.6609 0.0613 Ga
0.0117 0.3386 0.0760 Ga
0.9883 0.6614 0.9240 Ga
0.6606 0.4467 0.7500 Ga
0.5533 0.3394 0.2500 Ga
0.3386 0.0117 0.0760 Ga
0.0117 0.3386 0.4240 Ga
0.3394 0.5533 0.2500 Ga
0.3391 0.3391 0.9387 Ga
0.6614 0.9883 0.9240 Ga
0.4467 0.6606 0.7500 Ga
0.3234 0.6766 0.0000 Ru
0.3234 0.6766 0.5000 Ru
0.6766 0.3234 0.0000 Ru
0.0000 0.0000 0.0000 Ru
0.0000 0.0000 0.5000 Ru
0.6766 0.3234 0.5000 Ru
0.0023 0.3250 0.7500 Tb
0.6750 0.9977 0.2500 Tb
0.9977 0.6750 0.2500 Tb
0.3250 0.0023 0.7500 Tb
```


Record 11
Here is crystalline TiP2S6 at its relaxed geometry from the Materials Project database. Energies are from meta-GGA r2SCAN.

Structure (POSCAR):
```
TiP2S6
1.0
-0.4600 -1.9322 -6.5698
-0.9761 -5.4313 4.0810
-9.6875 5.6617 1.3906
S P Ti
12 4 2
Direct
0.8469 0.9131 0.2294 S
0.4656 0.9244 0.3541 S
0.7647 0.2187 0.0430 S
0.8885 0.4297 0.3541 S
0.9687 0.0147 0.5430 S
0.2783 0.8242 0.0430 S
0.1797 0.1385 0.8541 S
0.3825 0.3162 0.2294 S
0.5742 0.5283 0.5430 S
0.6744 0.7156 0.8541 S
0.0662 0.6325 0.7294 S
0.6631 0.0969 0.7294 S
0.2662 0.8914 0.8753 P
0.7339 0.8590 0.3753 P
0.6090 0.9839 0.8753 P
0.6414 0.5162 0.3753 P
0.8508 0.8508 0.7016 Ti
0.6008 0.1008 0.2016 Ti
```


Record 12
Here is crystalline NpPd3 at its relaxed geometry from the Materials Project database. Energies are from meta-GGA r2SCAN.

Output
- Energy relative to the lowest polymorph listed for this composition: 0.9 kJ per mole of atoms

Structure (POSCAR):
```
NpPd3
1.0
-1.9125 -1.9865 3.0881
2.2760 -3.3735 -0.7606
2.8815 1.3464 2.6507
Pd Np
3 1
Direct
0.0000 0.5000 0.5000 Pd
0.5000 0.0000 0.5000 Pd
0.5000 0.5000 0.0000 Pd
0.0000 0.0000 0.0000 Np
```


no.,raw total energy (eV per atom),calculated formation energy (eV per atom),calculated density (Mg/m³)
1,-11.0228,-1.95,3.402
2,-15.2501,-0.19,6.998
3,-23.3851,-0.57,10.816
4,-11.0602,-1.75,5.515
5,-15.5611,-2.73,6.460
6,-22.3800,-0.31,6.482
7,-15.2080,-3.65,5.780
8,-15.9504,-1.17,4.108
9,-9.2077,-0.13,3.787
10,-17.8619,-0.60,8.935
11,-9.4847,-0.69,2.136
12,-38.7112,-0.73,13.017